A plane-wave DFT calculation with PBE was carried out for a geometry-optimized RbPHO3F structure.

Results
Volume: 914.3 Å³/cell
Energy of formation: -2.47 eV/atom
ΔE to the lowest computed polymorph: 24 meV/atom
E: -5.9010 eV/atom
Total moment: 0.000 μB/atom

a = 7.459 Å, b = 8.371 Å, c = 14.822 Å
α = 90.00°, β = 98.92°, γ = 90.00°
Space group P2_1 (No. 4)
Unique sites:
Rb: 0.075 0.000 0.089 [2 per cell]
Rb: 0.153 0.741 0.661 [2 per cell]
Rb: 0.322 0.227 0.841 [2 per cell]
Rb: 0.411 0.483 0.410 [2 per cell]
P: 0.121 0.220 0.586 [2 per cell]
P: 0.167 0.521 0.157 [2 per cell]
P: 0.345 0.022 0.338 [2 per cell]
P: 0.415 0.709 0.908 [2 per cell]
H: 0.005 0.411 0.671 [2 per cell]
H: 0.246 0.312 0.076 [2 per cell]
H: 0.266 0.826 0.419 [2 per cell]
H: 0.493 0.915 0.825 [2 per cell]
O: 0.054 0.664 0.126 [2 per cell]
O: 0.116 0.342 0.668 [2 per cell]
O: 0.133 0.381 0.084 [2 per cell]
O: 0.144 0.039 0.306 [2 per cell]
O: 0.153 0.297 0.499 [2 per cell]
O: 0.221 0.073 0.622 [2 per cell]
O: 0.301 0.566 0.879 [2 per cell]
O: 0.368 0.537 0.193 [2 per cell]
O: 0.379 0.883 0.414 [2 per cell]
O: 0.380 0.847 0.833 [2 per cell]
O: 0.384 0.192 0.057 [2 per cell]
O: 0.466 0.160 0.368 [2 per cell]
F: 0.081 0.445 0.241 [2 per cell]
F: 0.100 0.674 0.434 [2 per cell]
F: 0.332 0.788 0.992 [2 per cell]
F: 0.425 0.939 0.255 [2 per cell]